No. 1
Here is a relaxed Gd2Sc3Si4 crystal from the Materials Project. Energies are from PBE.

Results
Total magnetic moment = 60.371 μB per cell
Space group = Pnma, No. 62

a b c (Å): 6.9447 7.2716 13.8199
angles (deg): 90.00 90.00 90.00
Positions (direct):
1 Gd 0.0096 0.1737 0.0967
2 Gd 0.9904 0.8262 0.9033
3 Gd 0.4904 0.6738 0.9033
4 Gd 0.9904 0.8262 0.5967
5 Gd 0.5096 0.3262 0.0967
6 Gd 0.0096 0.1737 0.4033
7 Gd 0.5096 0.3262 0.4033
8 Gd 0.4904 0.6738 0.5967
9 Sc 0.1616 0.5050 0.7500
10 Sc 0.8384 0.4950 0.2500
11 Sc 0.3384 0.0050 0.2500
12 Sc 0.6616 0.9950 0.7500
13 Sc 0.3277 0.1753 0.6237
14 Sc 0.6723 0.8247 0.3763
15 Sc 0.1723 0.6753 0.3763
16 Sc 0.6723 0.8247 0.1237
17 Sc 0.8277 0.3247 0.6237
18 Sc 0.3277 0.1753 0.8763
19 Sc 0.8277 0.3247 0.8763
20 Sc 0.1723 0.6753 0.1237
21 Si 0.0335 0.1201 0.7500
22 Si 0.9665 0.8799 0.2500
23 Si 0.4665 0.6201 0.2500
24 Si 0.5335 0.3799 0.7500
25 Si 0.2856 0.8776 0.7500
26 Si 0.7144 0.1224 0.2500
27 Si 0.2144 0.3776 0.2500
28 Si 0.7856 0.6224 0.7500
29 Si 0.1548 0.4639 0.5387
30 Si 0.8452 0.5361 0.4613
31 Si 0.3452 0.9639 0.4613
32 Si 0.8452 0.5361 0.0387
33 Si 0.6548 0.0361 0.5387
34 Si 0.1548 0.4639 0.9613
35 Si 0.6548 0.0361 0.9613
36 Si 0.3452 0.9639 0.0387

No. 2
Here is a relaxed GdScSi crystal from the Materials Project. Energies are from PBE.

Results
Space group = I4/mmm, No. 139

a b c (Å): 4.2128 4.2128 8.3371
angles (deg): 104.63 104.63 90.00
Positions (direct):
1 Gd 0.6779 0.6779 0.3558
2 Gd 0.3221 0.3221 0.6442
3 Sc 0.5000 0.0000 0.0000
4 Sc 0.0000 0.5000 0.0000
5 Si 0.8750 0.8750 0.7499
6 Si 0.1250 0.1250 0.2501

Number 1: ΔH_f (0 K) -0.774 eV/atom, final energy -8.455 eV per atom. Number 2: ΔH_f (0 K) -0.640 eV/atom, final energy -9.275 eV per atom.